(1)
{
  "formula": "Pr2Al2Ge",
  "functional": "r2SCAN",
  "state": "optimized geometry",
  "lattice": [[-3.264, 2.329, 0.912], [2.647, 3.635, 0.190], [-0.448, 1.034, -13.513]],
  "species": ["Pr", "Pr", "Pr", "Pr", "Al", "Al", "Al", "Al", "Ge", "Ge"],
  "frac_coords": [[0.205, 0.250, 0.410], [0.795, 0.750, 0.590], [0.575, 0.250, 0.150], [0.425, 0.750, 0.850], [0.881, 0.250, 0.761], [0.119, 0.750, 0.239], [0.976, 0.250, 0.953], [0.024, 0.750, 0.047], [0.325, 0.250, 0.650], [0.675, 0.750, 0.350]],
  "crystal_system": "monoclinic",
  "e_form_ev_per_atom": -0.719,
  "energy_ev_per_atom": -17.9477,
  "space_group": "P2_1/m (11)"
}

(2)
{
  "formula": "Pr2Al3Ge",
  "functional": "r2SCAN",
  "state": "optimized geometry",
  "lattice": [[-3.317, -0.741, -2.706], [-2.200, -1.897, 3.216], [-3.000, 6.635, 1.861]],
  "species": ["Pr", "Pr", "Al", "Al", "Al", "Ge"],
  "frac_coords": [[0.000, 0.500, 0.005], [0.000, 0.000, 0.495], [0.500, 0.000, 0.831], [0.500, 0.000, 0.167], [0.500, 0.500, 0.666], [0.500, 0.500, 0.336]],
  "crystal_system": "orthorhombic",
  "e_form_ev_per_atom": -0.658,
  "energy_ev_per_atom": -16.1372,
  "space_group": "Pmm2 (25)"
}

(3)
{
  "formula": "AlGeRu2",
  "functional": "r2SCAN",
  "state": "optimized geometry",
  "lattice": [[3.262, 2.666, 0.270], [0.085, 2.932, 3.036], [2.746, -0.341, 3.188]],
  "species": ["Al", "Ge", "Ru", "Ru"],
  "frac_coords": [[0.250, 0.250, 0.250], [0.750, 0.750, 0.750], [0.000, 0.000, 0.000], [0.500, 0.500, 0.500]],
  "crystal_system": "cubic",
  "e_form_ev_per_atom": -0.518,
  "energy_ev_per_atom": -18.3811,
  "space_group": "Fm-3m (225)"
}